# Li7V3P8O29

Crystalline Li7V3P8O29 at its relaxed geometry (GGA+U, Materials Project).

a = 9.8993 Å, b = 9.8623 Å, c = 13.9486 Å
α = 89.67°, β = 89.87°, γ = 59.57°
Atoms (fractional coordinates):
Li 0.9060 0.7593 0.0631
Li 0.7650 0.8991 0.5616
Li 0.9033 0.3293 0.5608
Li 0.6722 0.6691 0.8855
Li 0.7676 0.3215 0.0618
Li 0.3209 0.9073 0.0599
Li 0.6786 0.2290 0.4358
Li 0.3397 0.7611 0.5594
Li 0.3209 0.3454 0.6125
Li 0.3420 0.3458 0.1115
Li 0.2353 0.0872 0.4372
Li 0.0913 0.2312 0.9356
Li 0.9855 0.9603 0.9965
Li 0.0192 0.9332 0.4918
V 0.5645 0.4379 0.2510
V 0.4336 0.5652 0.7547
V 0.5651 0.0027 0.7516
V 0.4414 0.9971 0.2475
V 0.0037 0.5632 0.2536
V 0.9981 0.4392 0.7477
P 0.9077 0.7753 0.8465
P 0.7734 0.9113 0.3438
P 0.9156 0.3132 0.3415
P 0.6729 0.6661 0.1267
P 0.6584 0.6705 0.6275
P 0.7748 0.3142 0.8446
P 0.6836 0.2276 0.6576
P 0.3185 0.9097 0.8419
P 0.6917 0.0870 0.1586
P 0.3115 0.7766 0.3448
P 0.2171 0.6950 0.1601
P 0.3341 0.3268 0.3721
P 0.3349 0.3308 0.8726
P 0.0889 0.6927 0.6611
P 0.2294 0.0901 0.6555
P 0.0917 0.2274 0.1563
O 0.9889 0.8006 0.5814
O 0.9140 0.7458 0.3383
O 0.7927 0.9862 0.0782
O 0.7453 0.9212 0.8338
O 0.8913 0.6285 0.8347
O 0.8207 0.6659 0.1679
O 0.9041 0.4732 0.3271
O 0.9994 0.2346 0.0679
O 0.9210 0.3305 0.8387
O 0.6607 0.8183 0.6708
O 0.6191 0.9108 0.3302
O 0.8089 0.5192 0.6615
O 0.6711 0.6822 0.0191
O 0.6378 0.6866 0.5213
O 0.6723 0.5176 0.1599
O 0.4828 0.8927 0.8302
O 0.5213 0.8165 0.1680
O 0.7539 0.3280 0.3413
O 0.7840 0.2116 0.7518
O 0.7708 0.2317 0.5692
O 0.7755 0.2300 0.9348
O 0.6268 0.4808 0.8321
O 0.5136 0.6672 0.6745
O 0.6624 0.2556 0.1555
O 0.4659 0.6223 0.3341
O 0.3329 0.9210 0.3334
O 0.7859 0.0132 0.2576
O 0.7756 0.9937 0.4354
O 0.2403 0.9937 0.5688
O 0.6657 0.0810 0.6561
O 0.5193 0.3765 0.6679
O 0.3375 0.7464 0.8413
O 0.4852 0.3234 0.3404
O 0.3672 0.5319 0.1663
O 0.2059 0.8016 0.0788
O 0.2249 0.7933 0.4373
O 0.1979 0.7886 0.2587
O 0.2551 0.6700 0.6588
O 0.4779 0.1818 0.8258
O 0.5276 0.1016 0.1683
O 0.3423 0.4735 0.8265
O 0.3467 0.3272 0.9793
O 0.3195 0.3217 0.4792
O 0.1878 0.4748 0.3255
O 0.3742 0.1093 0.6681
O 0.3313 0.1807 0.3276
O 0.0758 0.6687 0.1593
O 0.0149 0.7793 0.7609
O 0.9840 0.7807 0.9383
O 0.1037 0.5292 0.6643
O 0.1852 0.3339 0.8377
O 0.1063 0.3754 0.1684
O 0.2581 0.0818 0.1538
O 0.2328 0.0020 0.9303
O 0.2140 0.0030 0.7497
O 0.0812 0.2531 0.6534
O 0.0068 0.2282 0.4310
O 0.0072 0.2057 0.2490

Computed properties:
- formation enthalpy at 0 K (eV/atom) = -2.6834
- space group = No. 1
- distance to the lowest polymorph of the same formula (kJ/mol of formula units) = 43

# Li7V3P8O29

Crystalline Li7V3P8O29 at its relaxed geometry (GGA+U, Materials Project).

a = 9.8079 Å, b = 9.8112 Å, c = 13.8851 Å
α = 89.95°, β = 90.05°, γ = 60.25°
Atoms (fractional coordinates):
Li 0.7616 0.8965 0.5618
Li 0.9017 0.3348 0.5663
Li 0.6788 0.6621 0.8840
Li 0.7669 0.3223 0.0602
Li 0.3256 0.9065 0.0607
Li 0.6662 0.2373 0.4420
Li 0.3343 0.7645 0.5650
Li 0.6572 0.1042 0.9395
Li 0.2346 0.6632 0.9348
Li 0.0974 0.6641 0.4403
Li 0.2351 0.0986 0.4419
Li 0.1023 0.2330 0.9368
Li 0.9807 0.9641 0.0029
Li 0.9945 0.9998 0.5102
V 0.5611 0.4391 0.2506
V 0.4346 0.5648 0.7487
V 0.5641 0.0013 0.7493
V 0.4362 0.0006 0.2495
V 0.9988 0.5662 0.2476
V 0.0009 0.4373 0.7497
P 0.9104 0.7821 0.8420
P 0.7749 0.9134 0.3403
P 0.9134 0.3125 0.3434
P 0.6655 0.6655 0.1295
P 0.6650 0.6712 0.6263
P 0.7750 0.3156 0.8440
P 0.6883 0.2246 0.6565
P 0.3160 0.9101 0.8442
P 0.6872 0.0889 0.1547
P 0.3137 0.7754 0.3428
P 0.2250 0.6874 0.1581
P 0.3312 0.3365 0.3694
P 0.3366 0.3284 0.8742
P 0.0836 0.6904 0.6535
P 0.2255 0.0856 0.6570
P 0.0871 0.2259 0.1578
O 0.9962 0.7815 0.5627
O 0.9179 0.7463 0.3413
O 0.7750 0.0096 0.0644
O 0.7435 0.9267 0.8452
O 0.8959 0.6330 0.8375
O 0.8072 0.6686 0.1760
O 0.9138 0.4679 0.3293
O 0.0015 0.2204 0.0685
O 0.9244 0.3285 0.8461
O 0.6750 0.8141 0.6753
O 0.6198 0.9104 0.3273
O 0.8074 0.5159 0.6650
O 0.6679 0.6565 0.0215
O 0.6677 0.6891 0.5192
O 0.6689 0.5125 0.1708
O 0.4813 0.8929 0.8311
O 0.5106 0.8110 0.1662
O 0.7460 0.3369 0.3440
O 0.7923 0.2088 0.7510
O 0.7857 0.2158 0.5678
O 0.7665 0.2282 0.9323
O 0.6317 0.4812 0.8323
O 0.5098 0.6822 0.6634
O 0.6627 0.2563 0.1601
O 0.4715 0.6234 0.3314
O 0.3370 0.9205 0.3419
O 0.7961 0.9990 0.2476
O 0.7740 0.0026 0.4298
O 0.2221 0.9960 0.5677
O 0.6706 0.0769 0.6562
O 0.5321 0.3753 0.6638
O 0.3321 0.7472 0.8468
O 0.4860 0.3297 0.3280
O 0.3797 0.5316 0.1685
O 0.2194 0.7776 0.0682
O 0.2235 0.7768 0.4316
O 0.2058 0.7981 0.2496
O 0.2466 0.6756 0.6563
O 0.4861 0.1832 0.8238
O 0.5324 0.0875 0.1692
O 0.3296 0.4818 0.8378
O 0.3604 0.3048 0.9810
O 0.3330 0.3371 0.4768
O 0.1880 0.4900 0.3285
O 0.3806 0.0872 0.6662
O 0.3248 0.1898 0.3291
O 0.0844 0.6599 0.1639
O 0.9858 0.8009 0.7427
O 0.0101 0.7890 0.9226
O 0.0919 0.5321 0.6642
O 0.1901 0.3228 0.8370
O 0.0915 0.3783 0.1685
O 0.2551 0.0803 0.1610
O 0.2337 0.0032 0.9337
O 0.2089 0.9981 0.7516
O 0.0810 0.2493 0.6563
O 0.0022 0.2233 0.4327
O 0.9990 0.2042 0.2503

Computed properties:
- formation enthalpy at 0 K (eV/atom) = -2.6782
- space group = No. 1
- distance to the lowest polymorph of the same formula (kJ/mol of formula units) = 66

# Li5V3P8O29

Crystalline Li5V3P8O29 at its relaxed geometry (GGA+U, Materials Project).

a = 9.7559 Å, b = 9.8091 Å, c = 14.0489 Å
α = 90.26°, β = 90.18°, γ = 119.67°
Atoms (fractional coordinates):
Li 0.6840 0.9137 0.5623
Li 0.2294 0.3244 0.5609
Li 0.1038 0.3375 0.0569
Li 0.2328 0.9028 0.0568
Li 0.0937 0.7723 0.5623
Li 0.9069 0.6733 0.9373
Li 0.6599 0.3282 0.1094
Li 0.7677 0.6801 0.4378
Li 0.3166 0.0915 0.4432
Li 0.9674 0.0142 0.9921
V 0.0010 0.4278 0.2559
V 0.0007 0.5656 0.7475
V 0.5703 0.0015 0.7545
V 0.4338 0.9989 0.2503
V 0.5630 0.5699 0.2424
V 0.4363 0.4325 0.7561
P 0.6926 0.7764 0.8397
P 0.6855 0.9149 0.3431
P 0.2372 0.3202 0.3446
P 0.3228 0.6613 0.1280
P 0.3380 0.6672 0.6304
P 0.0870 0.3144 0.8437
P 0.9134 0.2286 0.6607
P 0.2253 0.9116 0.8428
P 0.7810 0.0888 0.1589
P 0.0869 0.7686 0.3411
P 0.9105 0.6804 0.1570
P 0.6660 0.3390 0.3695
P 0.6713 0.3370 0.8721
P 0.7649 0.6784 0.6549
P 0.3187 0.0881 0.6614
P 0.3100 0.2221 0.1603
O 0.7485 0.7509 0.5645
O 0.6658 0.7496 0.3356
O 0.8028 0.0082 0.0757
O 0.6562 0.9122 0.8369
O 0.5358 0.6175 0.8309
O 0.4740 0.6633 0.1711
O 0.3835 0.4782 0.3256
O 0.2075 0.2164 0.0803
O 0.2584 0.3423 0.8295
O 0.4894 0.8163 0.6684
O 0.5241 0.9056 0.3168
O 0.3374 0.5189 0.6762
O 0.3065 0.6403 0.0228
O 0.3337 0.6551 0.5243
O 0.1802 0.5109 0.1753
O 0.3793 0.9086 0.8301
O 0.3222 0.8110 0.1644
O 0.0874 0.3390 0.3363
O 0.9890 0.2011 0.7572
O 0.0114 0.2408 0.5777
O 0.0224 0.2301 0.9351
O 0.0882 0.4694 0.8313
O 0.1878 0.6717 0.6683
O 0.9233 0.2627 0.1637
O 0.0985 0.6190 0.3214
O 0.2522 0.9166 0.3420
O 0.7991 0.0129 0.2568
O 0.7470 0.9934 0.4362
O 0.2398 0.0000 0.5710
O 0.7458 0.0842 0.6600
O 0.9030 0.3803 0.6787
O 0.0806 0.7424 0.8320
O 0.8155 0.3387 0.3221
O 0.9011 0.5188 0.1709
O 0.0020 0.7652 0.0699
O 0.9975 0.7537 0.4312
O 0.9973 0.7879 0.2506
O 0.9151 0.6630 0.6556
O 0.6746 0.1934 0.8302
O 0.6281 0.1000 0.1667
O 0.8146 0.4917 0.8358
O 0.6626 0.3409 0.9783
O 0.6779 0.3466 0.4749
O 0.6669 0.4866 0.3259
O 0.4770 0.0937 0.6793
O 0.5157 0.1877 0.3311
O 0.7433 0.6557 0.1572
O 0.7869 0.7951 0.7416
O 0.7973 0.7906 0.9214
O 0.6181 0.5201 0.6777
O 0.5182 0.3337 0.8271
O 0.4757 0.3710 0.1681
O 0.3381 0.0783 0.1596
O 0.2086 0.9819 0.9332
O 0.2072 0.0029 0.7512
O 0.3409 0.2559 0.6608
O 0.2432 0.2449 0.4357
O 0.2178 0.2012 0.2596

Computed properties:
- formation enthalpy at 0 K (eV/atom) = -2.6189
- space group = No. 1
- distance to the lowest polymorph of the same formula (kJ/mol of formula units) = 8